1.
Compound: VBiPb2O6
Source: Materials Project
Functional: PBE with a Hubbard U
Structure: optimized geometry

```
80
Lattice="5.838 0.000 0.000 0.000 7.888 0.000 0.000 5.304 30.031" Properties=species:S:1:pos:R:3 pbc="T T T"
Bi 0.013 8.699 19.765
Bi 2.837 9.739 13.241
Bi 5.825 6.047 4.749
Bi 0.087 10.491 27.105
Bi 2.941 7.914 6.001
Bi 5.750 7.839 12.090
Bi 2.896 10.566 21.016
Bi 3.001 12.391 28.257
O 4.256 8.617 21.455
O 1.581 5.965 6.440
O 3.108 7.074 9.659
O 1.560 9.429 11.405
O 2.673 4.247 9.863
O 0.005 3.459 8.330
O 3.980 3.648 15.030
O 4.506 10.445 19.307
O 5.234 5.970 28.676
O 5.833 6.111 23.345
O 3.122 4.824 17.941
O 0.068 5.749 15.062
O 1.224 4.513 21.338
O 4.575 7.232 18.045
O 2.101 7.053 19.470
O 4.262 8.565 26.876
O 5.017 11.237 23.063
O 4.523 10.768 28.841
O 4.399 9.695 11.539
O 1.315 8.116 13.826
O 1.857 0.996 0.014
O 4.378 5.206 21.039
O 0.604 3.318 13.660
O 4.570 6.370 6.627
O 5.770 3.097 0.047
O 4.278 12.081 26.420
O 1.263 4.581 3.029
O 4.350 5.587 11.770
O 1.439 12.347 26.554
O 5.325 0.647 1.540
O 1.460 2.555 6.023
O 1.488 8.239 26.785
O 3.736 4.401 4.454
O 3.668 4.555 1.578
O 2.730 9.726 24.675
O 3.164 6.899 24.878
O 4.614 1.861 6.322
O 0.820 8.585 8.048
O 2.715 2.172 2.926
O 1.332 7.793 4.292
O 0.513 3.299 16.555
O 1.268 9.022 21.643
O 4.205 8.008 13.781
O 1.580 10.362 19.234
O 4.258 7.710 4.219
O 1.633 10.660 28.797
O 2.170 7.206 16.593
O 1.576 5.913 11.861
V 2.970 6.568 18.014
V 2.900 8.366 25.753
V 0.160 1.353 0.068
V 2.938 5.714 10.738
V 5.588 4.803 22.252
V 0.249 2.151 7.236
V 2.867 3.916 2.999
V 5.678 4.004 15.083
Pb 2.922 10.520 17.297
Pb 5.766 7.966 15.765
Pb 5.793 1.763 3.857
Pb 3.170 4.187 6.772
Pb 3.178 8.775 29.199
Pb 2.667 6.839 21.788
Pb 5.698 6.323 26.276
Pb 5.561 8.948 23.346
Pb 2.996 9.494 9.639
Pb 2.916 7.868 2.281
Pb 0.072 5.314 0.750
Pb 0.276 6.296 8.331
Pb 2.659 6.123 14.184
Pb 0.139 3.671 11.261
Pb 2.842 12.146 24.655
Pb 0.044 4.415 18.873
```

**Energy above the most stable polymorph in this dataset**: 1 meV per atom

***

2.
Compound: Sr2VCu2O7
Source: Materials Project
Functional: PBE with a Hubbard U
Structure: optimized geometry

```
24
Lattice="12.535 3.762 0.000 -12.535 3.762 0.000 0.000 3.677 3.774" Properties=species:S:1:pos:R:3 pbc="T T T"
O 0.000 1.778 0.799
O 8.251 5.658 1.943
O -4.378 5.667 1.940
O -8.251 5.658 1.943
O 1.466 7.420 2.257
O 4.395 3.842 0.078
O -4.395 3.842 0.078
O -8.224 3.840 0.083
O -1.466 7.420 2.257
O 4.378 5.667 1.940
O -1.585 4.043 1.831
O 1.585 4.043 1.831
O 8.224 3.840 0.083
O 0.000 10.151 3.773
V 0.000 3.343 1.965
V 0.000 7.616 1.398
Cu 4.745 7.554 1.932
Cu 4.736 3.788 1.977
Cu -4.736 3.788 1.977
Cu -4.745 7.554 1.932
Sr -2.805 1.996 0.026
Sr 2.805 1.996 0.026
Sr -2.800 5.663 0.100
Sr 2.800 5.663 0.100
```

**Energy**: -0.2234 Ha/atom